Record 1
MgBi2, optimized geometry, DFT PBE; final energy = -18.85 eV for the cell shown
1.0
1.790 -8.406 0.000
1.790 8.406 0.000
0.000 0.000 5.891
Bi Mg
4 2
direct
0.768 0.232 0.750
0.545 0.455 0.250
0.455 0.545 0.750
0.232 0.768 0.250
0.114 0.886 0.750
0.886 0.114 0.250



Record 2
MgBi2, optimized geometry, DFT PBE; final energy = -18.60 eV for the cell shown
1.0
3.025 -5.030 0.000
3.025 5.030 0.000
0.000 0.000 5.691
Mg Bi
2 4
direct
0.335 0.335 0.250
0.665 0.665 0.750
0.988 0.666 0.250
0.012 0.334 0.750
0.334 0.012 0.750
0.666 0.988 0.250



Record 3
MgBi, optimized geometry, DFT PBE; final energy = -33.32 eV for the cell shown
1.0
-1.850 0.200 -4.997
-3.085 -1.362 1.088
-6.184 16.363 2.944
Mg Bi
6 6
direct
0.000 0.500 0.165
0.500 0.000 0.560
0.000 0.000 0.665
0.500 0.000 0.214
0.500 0.500 0.714
0.500 0.500 0.060
0.000 0.500 0.806
0.000 0.000 0.018
0.000 0.000 0.306
0.500 0.500 0.405
0.000 0.500 0.518
0.500 0.000 0.905



Record 4
MgBi2, optimized geometry, DFT PBE; final energy = -18.74 eV for the cell shown
1.0
1.716 -8.963 0.000
1.716 8.963 0.000
0.000 0.000 5.679
Bi Mg
4 2
direct
0.134 0.866 0.750
0.559 0.441 0.250
0.441 0.559 0.750
0.866 0.134 0.250
0.782 0.218 0.750
0.218 0.782 0.250



Record 5
Mg2Bi, optimized geometry, DFT PBE; final energy = -14.21 eV for the cell shown
1.0
4.623 1.580 7.133
-6.518 0.637 -5.644
-2.725 -4.131 2.681
Bi Mg
2 4
direct
0.437 0.563 0.250
0.563 0.437 0.750
0.885 0.115 0.750
0.115 0.885 0.250
0.227 0.773 0.750
0.773 0.227 0.250



Record 6
Mg2Bi, optimized geometry, DFT PBE; final energy = -14.35 eV for the cell shown
1.0
2.931 -4.807 0.000
2.931 4.807 0.000
0.000 0.000 5.538
Mg Bi
4 2
direct
0.335 0.003 0.750
0.665 0.997 0.250
0.003 0.335 0.750
0.997 0.665 0.250
0.320 0.320 0.250
0.680 0.680 0.750